[1]
10
Lattice="1.812 0.213 3.743 -5.778 -3.588 3.002 3.379 -6.500 -1.266" Properties=species:S:1:pos:R:3 comment="Y2InGe2, relaxed, DFT PBE" energy_ev_per_atom=-5.705 delta_e_f_ev_per_atom=-0.719 pbc="T T T"
Y 2.166 -4.950 1.550
Y -2.753 -4.924 3.929
Y -0.343 -2.209 2.608
Y -0.245 -7.666 2.871
In 0.000 0.000 0.000
In -1.200 -5.044 0.868
Ge -3.180 -3.016 1.711
Ge 0.780 -7.072 0.025
Ge -2.979 -7.190 1.852
Ge 0.580 -2.897 -0.116

[2]
8
Lattice="-1.352 -1.958 -2.673 3.163 -4.372 1.602 -4.694 -1.991 3.833" Properties=species:S:1:pos:R:3 comment="GeIr, relaxed, DFT PBE" energy_ev_per_atom=-7.059 delta_e_f_ev_per_atom=-0.328 pbc="T T T"
Ge -1.167 -6.142 1.495
Ge -1.716 -2.179 1.266
Ge -4.380 -4.649 2.027
Ge 1.497 -3.672 0.734
Ir 1.159 -6.243 0.392
Ir -4.043 -2.078 2.369
Ir -0.809 -4.221 -0.093
Ir -2.074 -4.099 2.854